# 1
# LiMn2OF3 | the Materials Project | PBE with a Hubbard U | optimized geometry
# Distance to the lowest polymorph of the same formula, eV per atom: 0.028
# Electronic total energy, eV/atom: -6.305
# Formation enthalpy at 0 K, eV per atom: -2.660
# M_tot, μB/cell: 20.00
data_LiMn2OF3
_symmetry_space_group_name_H-M 'P 1'
_symmetry_Int_Tables_number 1
_symmetry_space_group_name_Hall 'P 1'
_cell_length_a 6.329
_cell_length_b 6.352
_cell_length_c 8.843
_cell_angle_alpha 90.00
_cell_angle_beta 90.00
_cell_angle_gamma 89.48
loop_
_atom_site_label
_atom_site_fract_x
_atom_site_fract_y
_atom_site_fract_z
Li1 0.000 0.000 0.000
Li2 0.000 0.499 0.026
Li3 0.499 0.477 0.527
Li4 0.500 0.975 0.500
Mn1 0.249 0.738 0.263
Mn2 0.250 0.238 0.764
Mn3 0.501 0.198 0.155
Mn4 0.501 0.698 0.872
Mn5 0.750 0.238 0.763
Mn6 0.750 0.737 0.263
Mn7 0.999 0.278 0.373
Mn8 0.999 0.778 0.654
O1 0.000 0.037 0.776
O2 0.000 0.536 0.250
O3 0.500 0.439 0.750
O4 0.500 0.938 0.276
F1 0.235 0.748 0.009
F2 0.236 0.247 0.018
F3 0.264 0.728 0.517
F4 0.265 0.228 0.509
F5 0.500 0.478 0.281
F6 0.501 0.978 0.746
F7 0.734 0.226 0.508
F8 0.735 0.726 0.518
F9 0.765 0.250 0.018
F10 0.765 0.749 0.008
F11 0.999 0.498 0.781
F12 0.999 0.998 0.246

# 2
# LiMnOF2 | the Materials Project | PBE with a Hubbard U | optimized geometry
# Distance to the lowest polymorph of the same formula, eV per atom: 0.074
# Electronic total energy, eV/atom: -5.914
# Formation enthalpy at 0 K, eV per atom: -2.601
# M_tot, μB/cell: 16.00
data_LiMnOF2
_symmetry_space_group_name_H-M 'P 1'
_symmetry_Int_Tables_number 1
_symmetry_space_group_name_Hall 'P 1'
_cell_length_a 5.390
_cell_length_b 7.093
_cell_length_c 5.551
_cell_angle_alpha 90.00
_cell_angle_beta 90.00
_cell_angle_gamma 90.00
loop_
_atom_site_label
_atom_site_fract_x
_atom_site_fract_y
_atom_site_fract_z
Li1 0.040 0.250 0.052
Li2 0.460 0.750 0.552
Li3 0.540 0.250 0.448
Li4 0.960 0.750 0.948
Mn1 0.000 0.000 0.500
Mn2 0.000 0.500 0.500
Mn3 0.500 0.000 0.000
Mn4 0.500 0.500 0.000
O1 0.068 0.750 0.601
O2 0.432 0.250 0.101
O3 0.568 0.750 0.899
O4 0.932 0.250 0.399
F1 0.174 0.562 0.146
F2 0.174 0.938 0.146
F3 0.326 0.062 0.646
F4 0.326 0.438 0.646
F5 0.674 0.562 0.354
F6 0.674 0.938 0.354
F7 0.826 0.062 0.854
F8 0.826 0.438 0.854

# 3
# Li2Mn4O5F3 | the Materials Project | PBE with a Hubbard U | optimized geometry
# Distance to the lowest polymorph of the same formula, eV per atom: 0.012
# Electronic total energy, eV/atom: -6.610
# Formation enthalpy at 0 K, eV per atom: -2.363
# M_tot, μB/cell: 17.00
data_Li2Mn4O5F3
_symmetry_space_group_name_H-M 'P 1'
_symmetry_Int_Tables_number 1
_symmetry_space_group_name_Hall 'P 1'
_cell_length_a 6.128
_cell_length_b 6.128
_cell_length_c 5.898
_cell_angle_alpha 118.47
_cell_angle_beta 118.47
_cell_angle_gamma 58.66
loop_
_atom_site_label
_atom_site_fract_x
_atom_site_fract_y
_atom_site_fract_z
Li1 0.245 0.755 0.000
Li2 0.755 0.245 0.000
Mn1 0.129 0.129 0.650
Mn2 0.361 0.361 0.367
Mn3 0.749 0.749 0.004
Mn4 0.763 0.763 0.518
O1 0.528 0.957 0.248
O2 0.538 0.971 0.760
O3 0.957 0.528 0.248
O4 0.971 0.538 0.760
O5 0.971 0.971 0.732
F1 0.001 0.001 0.235
F2 0.499 0.499 0.779
F3 0.519 0.519 0.265

# 4
# Li5MnO3F | the Materials Project | PBE with a Hubbard U | optimized geometry
# Distance to the lowest polymorph of the same formula, eV per atom: 0.000
# Electronic total energy, eV/atom: -5.323
# Formation enthalpy at 0 K, eV per atom: -2.196
# M_tot, μB/cell: 0.02
data_Li5MnO3F
_symmetry_space_group_name_H-M 'P 1'
_symmetry_Int_Tables_number 1
_symmetry_space_group_name_Hall 'P 1'
_cell_length_a 7.548
_cell_length_b 7.546
_cell_length_c 9.216
_cell_angle_alpha 70.73
_cell_angle_beta 111.66
_cell_angle_gamma 81.60
loop_
_atom_site_label
_atom_site_fract_x
_atom_site_fract_y
_atom_site_fract_z
Mn1 0.996 0.001 0.995
Li1 0.027 0.226 0.242
Li2 0.468 0.785 0.242
Li3 0.657 0.965 0.133
Li4 0.399 0.469 0.375
F1 0.668 0.519 0.438
Li5 0.843 0.025 0.375
F2 0.457 0.231 0.938
O1 0.085 0.975 0.812
Li6 0.726 0.281 0.000
Li7 0.157 0.965 0.633
O2 0.286 0.273 0.312
Li8 0.743 0.518 0.225
O3 0.912 0.025 0.187
Li9 0.782 0.725 0.500
Li10 0.382 0.232 0.150
Li11 0.882 0.232 0.650
O4 0.713 0.725 0.688
Mn2 0.496 0.001 0.495
Li12 0.528 0.226 0.742
Mn3 0.129 0.749 0.380
O5 0.786 0.273 0.812
O6 0.412 0.025 0.688
Li13 0.282 0.725 0.000
Li14 0.598 0.524 0.633
Li15 0.899 0.469 0.875
Li16 0.097 0.524 0.133
Li17 0.343 0.025 0.875
Mn4 0.629 0.749 0.880
Li18 0.968 0.785 0.742
Li19 0.226 0.281 0.500
F3 0.957 0.231 0.438
O7 0.040 0.775 0.563
O8 0.540 0.775 0.064
Li20 0.243 0.518 0.725
F4 0.168 0.519 0.938
O9 0.839 0.477 0.064
O10 0.339 0.477 0.563
O11 0.213 0.725 0.188
O12 0.585 0.975 0.311

# 5
# Li6MnO2F4 | the Materials Project | PBE with a Hubbard U | optimized geometry
# Distance to the lowest polymorph of the same formula, eV per atom: 0.005
# Electronic total energy, eV/atom: -5.182
# Formation enthalpy at 0 K, eV per atom: -2.622
# M_tot, μB/cell: 10.00
data_Li6MnO2F4
_symmetry_space_group_name_H-M 'P 1'
_symmetry_Int_Tables_number 1
_symmetry_space_group_name_Hall 'P 1'
_cell_length_a 5.497
_cell_length_b 5.497
_cell_length_c 11.048
_cell_angle_alpha 101.72
_cell_angle_beta 101.72
_cell_angle_gamma 99.93
loop_
_atom_site_label
_atom_site_fract_x
_atom_site_fract_y
_atom_site_fract_z
Li1 0.098 0.525 0.166
Li2 0.143 0.832 0.507
Li3 0.168 0.857 0.993
Li4 0.181 0.497 0.687
Li5 0.475 0.902 0.334
Li6 0.497 0.181 0.187
Li7 0.503 0.819 0.813
Li8 0.525 0.098 0.666
Li9 0.819 0.503 0.313
Li10 0.832 0.143 0.007
Li11 0.857 0.168 0.493
Li12 0.902 0.475 0.834
Mn1 0.500 0.500 0.000
Mn2 0.500 0.500 0.500
O1 0.262 0.609 0.871
O2 0.391 0.738 0.629
O3 0.609 0.262 0.371
O4 0.738 0.391 0.129
F1 0.195 0.219 0.067
F2 0.196 0.643 0.350
F3 0.219 0.195 0.567
F4 0.357 0.804 0.150
F5 0.643 0.196 0.850
F6 0.781 0.805 0.433
F7 0.804 0.357 0.650
F8 0.805 0.781 0.933

# 6
# Li3Mn8O4F12 | the Materials Project | PBE with a Hubbard U | optimized geometry
# Distance to the lowest polymorph of the same formula, eV per atom: 0.003
# Electronic total energy, eV/atom: -6.382
# Formation enthalpy at 0 K, eV per atom: -2.673
# M_tot, μB/cell: 29.00
data_Li3Mn8O4F12
_symmetry_space_group_name_H-M 'P 1'
_symmetry_Int_Tables_number 1
_symmetry_space_group_name_Hall 'P 1'
_cell_length_a 6.199
_cell_length_b 6.397
_cell_length_c 10.368
_cell_angle_alpha 89.00
_cell_angle_beta 72.65
_cell_angle_gamma 61.06
loop_
_atom_site_label
_atom_site_fract_x
_atom_site_fract_y
_atom_site_fract_z
Li1 0.000 0.000 0.000
Li2 0.226 0.391 0.157
Li3 0.613 0.196 0.579
Mn1 0.109 0.454 0.827
Mn2 0.113 0.696 0.579
Mn3 0.116 0.937 0.331
Mn4 0.600 0.947 0.855
Mn5 0.610 0.454 0.827
Mn6 0.613 0.695 0.579
Mn7 0.616 0.937 0.331
Mn8 0.628 0.442 0.302
O1 0.377 0.555 0.691
O2 0.386 0.780 0.447
O3 0.841 0.609 0.710
O4 0.848 0.836 0.466
F1 0.344 0.585 0.208
F2 0.350 0.080 0.221
F3 0.362 0.321 0.955
F4 0.362 0.807 0.949
F5 0.379 0.088 0.713
F6 0.404 0.305 0.445
F7 0.822 0.087 0.712
F8 0.846 0.304 0.444
F9 0.863 0.071 0.203
F10 0.863 0.584 0.208
F11 0.876 0.311 0.936
F12 0.882 0.807 0.950

# 7
# Li5MnO3F | the Materials Project | PBE with a Hubbard U | optimized geometry
# Distance to the lowest polymorph of the same formula, eV per atom: 0.001
# Electronic total energy, eV/atom: -5.322
# Formation enthalpy at 0 K, eV per atom: -2.195
# M_tot, μB/cell: 10.00
data_Li5MnO3F
_symmetry_space_group_name_H-M 'P 1'
_symmetry_Int_Tables_number 1
_symmetry_space_group_name_Hall 'P 1'
_cell_length_a 4.751
_cell_length_b 6.703
_cell_length_c 6.713
_cell_angle_alpha 89.84
_cell_angle_beta 89.71
_cell_angle_gamma 89.69
loop_
_atom_site_label
_atom_site_fract_x
_atom_site_fract_y
_atom_site_fract_z
Li1 0.000 0.000 0.000
Li2 0.000 0.296 0.769
Li3 0.023 0.713 0.199
Li4 0.061 0.295 0.222
Li5 0.076 0.533 0.500
Li6 0.508 0.039 0.994
Li7 0.523 0.795 0.270
Li8 0.558 0.222 0.294
Li9 0.585 0.500 0.499
Li10 0.602 0.808 0.724
Mn1 0.024 0.004 0.485
Mn2 0.562 0.506 0.005
O1 0.265 0.018 0.229
O2 0.323 0.515 0.265
O3 0.730 0.786 0.000
O4 0.786 0.249 0.014
O5 0.801 0.748 0.478
O6 0.855 0.284 0.493
F1 0.261 0.019 0.768
F2 0.319 0.509 0.727

# 8
# LiMn2O2F3 | the Materials Project | PBE with a Hubbard U | optimized geometry
# Distance to the lowest polymorph of the same formula, eV per atom: 0.010
# Electronic total energy, eV/atom: -6.270
# Formation enthalpy at 0 K, eV per atom: -2.548
# M_tot, μB/cell: 16.00
data_LiMn2O2F3
_symmetry_space_group_name_H-M 'P 1'
_symmetry_Int_Tables_number 1
_symmetry_space_group_name_Hall 'P 1'
_cell_length_a 6.126
_cell_length_b 6.126
_cell_length_c 6.874
_cell_angle_alpha 107.89
_cell_angle_beta 107.89
_cell_angle_gamma 48.06
loop_
_atom_site_label
_atom_site_fract_x
_atom_site_fract_y
_atom_site_fract_z
Li1 0.003 0.003 0.249
Li2 0.997 0.997 0.751
Mn1 0.277 0.349 0.887
Mn2 0.333 0.297 0.388
Mn3 0.651 0.723 0.113
Mn4 0.703 0.667 0.612
O1 0.114 0.495 0.623
O2 0.472 0.132 0.121
O3 0.505 0.886 0.377
O4 0.868 0.528 0.879
F1 0.077 0.683 0.306
F2 0.272 0.728 0.000
F3 0.317 0.923 0.694
F4 0.663 0.097 0.805
F5 0.702 0.298 0.500
F6 0.903 0.337 0.195